(1)
! RbSO4 PBE optimized geometry; values from VASP
! Final energy: -5.560 eV/atom
! Formation energy: -1.87 eV per atom
&SYSTEM
  ibrav = 0, nat = 48, ntyp = 3
/
ATOMIC_SPECIES
Rb 85.47 Rb.upf
S 32.06 S.upf
O 16.00 O.upf
CELL_PARAMETERS angstrom
14.581 0.000 0.000
0.000 4.821 0.000
-7.772 0.000 12.908
ATOMIC_POSITIONS angstrom
Rb -1.448 0.693 5.413
Rb -5.334 1.717 11.867
Rb 2.905 3.396 4.286
Rb -0.981 3.835 10.740
Rb 7.790 0.985 2.168
Rb 3.904 1.425 8.623
Rb 12.143 3.103 1.041
Rb 8.257 4.128 7.495
S 0.459 0.967 2.250
S -3.427 1.443 8.704
S 0.943 3.508 7.504
S 4.829 3.723 1.049
S 1.980 1.098 11.859
S 5.866 1.312 5.405
S 10.236 3.378 4.204
S 6.351 3.853 10.658
O -0.951 0.542 2.325
O -4.837 1.868 8.779
O -3.328 0.098 8.031
O 0.558 2.312 1.577
O 1.250 0.155 1.260
O -2.636 2.255 7.714
O 1.097 0.971 3.578
O -2.789 1.439 10.032
O 0.400 3.009 6.214
O -3.486 4.222 12.668
O 4.036 2.530 1.482
O 0.150 4.701 7.936
O 0.783 2.455 8.559
O 4.669 4.775 2.105
O 6.256 3.354 0.901
O 2.370 3.877 7.355
O 4.439 0.944 5.554
O 0.553 1.466 12.008
O 2.141 0.045 10.804
O 6.026 2.365 4.349
O 6.659 0.119 4.973
O 2.773 2.291 11.427
O 10.295 0.599 0.240
O 6.409 1.811 6.695
O 9.598 3.381 2.876
O 5.713 3.850 9.330
O 9.445 2.566 5.194
O 5.559 4.665 11.648
O 6.251 2.508 11.332
O 10.137 4.723 4.878
O 11.646 2.953 4.129
O 7.761 4.278 10.584

(2)
! RbSO4 PBE optimized geometry; values from VASP
! Final energy: -5.444 eV/atom
! Formation energy: -1.40 eV per atom
&SYSTEM
  ibrav = 0, nat = 48, ntyp = 3
/
ATOMIC_SPECIES
Rb 85.47 Rb.upf
S 32.06 S.upf
O 16.00 O.upf
CELL_PARAMETERS angstrom
16.265 0.000 0.000
0.000 5.402 0.000
-5.914 0.000 12.926
ATOMIC_POSITIONS angstrom
Rb -0.024 0.711 2.021
Rb -2.981 1.990 8.484
Rb 1.528 3.860 6.586
Rb 4.485 4.243 0.123
Rb 5.865 1.159 12.803
Rb 8.823 1.542 6.340
Rb 13.331 3.412 4.442
Rb 10.374 4.691 10.905
S -0.550 1.069 5.890
S -3.507 1.632 12.353
S 5.383 3.043 4.371
S 2.426 5.060 10.834
S 7.924 0.342 2.092
S 4.967 2.359 8.555
S 13.858 3.769 0.572
S 10.901 4.333 7.035
O -1.313 0.653 4.676
O -4.271 2.048 11.139
O -3.925 0.261 12.776
O -0.968 2.440 6.313
O -0.837 0.104 7.000
O 2.120 2.597 0.538
O 0.923 1.071 5.599
O -2.034 1.630 12.062
O -0.074 1.012 9.358
O 2.883 1.689 2.895
O -0.037 0.092 10.195
O 2.920 2.609 3.732
O 5.682 3.372 2.985
O 2.725 4.731 9.448
O 2.181 3.957 11.748
O 5.139 4.146 5.285
O 5.212 1.256 7.640
O 8.169 1.445 1.177
O 7.625 0.671 3.477
O 4.668 2.030 9.940
O 7.430 2.793 9.194
O 10.387 5.310 2.731
O 7.467 3.713 10.030
O 10.425 4.390 3.567
O 12.385 3.772 0.864
O 9.428 4.331 7.327
O 8.231 2.805 12.388
O 11.188 5.298 5.925
O 11.318 2.962 6.613
O 14.276 5.140 0.150
O 14.621 3.354 1.787
O 11.664 4.749 8.250

(3)
! RbSO3 PBE optimized geometry; values from VASP
! Final energy: -5.658 eV/atom
! Formation energy: -2.08 eV per atom
&SYSTEM
  ibrav = 0, nat = 30, ntyp = 3
/
ATOMIC_SPECIES
Rb 85.47 Rb.upf
S 32.06 S.upf
O 16.00 O.upf
CELL_PARAMETERS angstrom
10.332 0.000 0.000
-5.166 8.948 0.000
0.000 0.000 6.685
ATOMIC_POSITIONS angstrom
Rb -1.524 2.640 0.000
Rb -3.199 5.541 3.342
Rb 3.048 0.000 0.000
Rb 1.967 3.408 3.342
Rb 6.398 0.000 3.342
Rb 3.642 6.308 0.000
S 0.000 0.000 2.227
S 0.000 0.000 4.458
S 0.000 5.965 0.645
S 0.000 5.965 5.116
S 5.166 2.983 1.569
S 5.166 2.983 6.040
O -4.199 7.906 1.844
O 0.419 1.359 1.844
O 0.967 1.042 4.841
O -1.365 5.553 1.000
O -0.502 4.634 4.729
O -0.903 7.066 4.729
O 1.040 4.990 1.000
O 0.325 7.354 1.000
O 1.404 6.197 4.729
O 4.264 1.882 1.956
O 3.801 3.395 5.685
O 5.492 1.594 5.685
O 4.665 4.315 1.956
O 6.570 2.751 1.956
O 6.206 3.959 5.685
O 3.780 8.631 1.844
O 8.946 0.317 4.841
O 5.585 7.589 4.841

(4)
! RbScS2O8 PBE optimized geometry; values from VASP
! Final energy: -6.633 eV/atom
! Formation energy: -2.49 eV per atom
&SYSTEM
  ibrav = 0, nat = 12, ntyp = 4
/
ATOMIC_SPECIES
Rb 85.47 Rb.upf
Sc 44.96 Sc.upf
S 32.06 S.upf
O 16.00 O.upf
CELL_PARAMETERS angstrom
5.060 0.000 0.000
-2.530 4.382 0.000
0.000 0.000 8.769
ATOMIC_POSITIONS angstrom
Rb 0.000 0.000 0.000
Sc 0.000 0.000 4.384
S 0.000 2.921 6.231
S 2.530 1.461 2.538
O -0.430 1.585 5.712
O -0.942 3.961 5.712
O 0.000 2.921 7.688
O 1.588 0.420 3.057
O 1.372 3.217 5.712
O 2.530 1.461 1.080
O 2.100 2.797 3.057
O 3.902 1.165 3.057

- formation energy of number 2 (RbSO4)?
  -1.40 eV per atom